Entry 1:
A relaxed Li2AlPCO7 crystal, computed with GGA-PBE.

## Properties
The calculation puts the volume at 10.82 Å³ per atom. As for the crystal system: monoclinic. The energy of formation from the pure elements comes out at -2.66 eV per atom.

abc: 5.019 6.192 8.370
angles: 90.00 93.75 90.00
Fractional coordinates of all 24 atoms:
1 Li 0.226 0.017 0.289
2 Li 0.226 0.483 0.289
3 Li 0.774 0.517 0.711
4 Li 0.774 0.983 0.711
5 Al 0.209 0.750 0.846
6 Al 0.791 0.250 0.154
7 P 0.277 0.250 0.926
8 P 0.723 0.750 0.074
9 C 0.267 0.750 0.561
10 C 0.733 0.250 0.439
11 O 0.031 0.750 0.621
12 O 0.143 0.250 0.089
13 O 0.190 0.051 0.827
14 O 0.190 0.449 0.827
15 O 0.303 0.750 0.413
16 O 0.416 0.750 0.036
17 O 0.464 0.750 0.674
18 O 0.536 0.250 0.326
19 O 0.584 0.250 0.964
20 O 0.697 0.250 0.587
21 O 0.810 0.551 0.173
22 O 0.810 0.949 0.173
23 O 0.857 0.750 0.911
24 O 0.969 0.250 0.379


Entry 2:
A relaxed LiSc2Al2C2O2 crystal, computed with GGA-PBE.

## Properties
The calculation puts the volume at 11.65 Å³ per atom. As for the crystal system: monoclinic. The calculation puts the energy above the most stable polymorph in this dataset at 535 meV per atom. The energy of formation from the pure elements comes out at -1.04 eV per atom.

abc: 3.367 3.367 10.217
angles: 98.53 98.53 66.93
Fractional coordinates of all 9 atoms:
1 Li 0.000 0.000 0.000
2 Sc 0.000 0.000 0.500
3 Sc 0.500 0.500 0.000
4 Al 0.237 0.237 0.227
5 Al 0.763 0.763 0.773
6 C 0.128 0.128 0.837
7 C 0.872 0.872 0.163
8 O 0.306 0.306 0.407
9 O 0.694 0.694 0.593


Entry 3:
A relaxed LiSc2Al2C2O2 crystal, computed with GGA-PBE.

## Properties
The calculation puts the volume at 12.61 Å³ per atom. As for the crystal system: trigonal. The calculation puts the energy above the most stable polymorph in this dataset at 19 meV per atom. The energy of formation from the pure elements comes out at -1.55 eV per atom.

abc: 12.544 12.544 12.544
angles: 14.89 14.89 14.89
Fractional coordinates of all 9 atoms:
1 Li 0.000 0.000 0.000
2 Sc 0.455 0.455 0.455
3 Sc 0.925 0.925 0.925
4 Al 0.180 0.180 0.180
5 Al 0.728 0.728 0.728
6 C 0.081 0.081 0.081
7 C 0.826 0.826 0.826
8 O 0.229 0.229 0.229
9 O 0.620 0.620 0.620


Entry 4:
A relaxed LiSc2Al2C2O2 crystal, computed with GGA-PBE.

## Properties
The calculation puts the volume at 12.27 Å³ per atom. As for the crystal system: monoclinic. The calculation puts the energy above the most stable polymorph in this dataset at 655 meV per atom. The energy of formation from the pure elements comes out at -0.92 eV per atom.

abc: 3.435 3.435 10.320
angles: 96.90 96.90 66.40
Fractional coordinates of all 9 atoms:
1 Li 0.000 0.000 0.000
2 Sc 0.000 0.000 0.500
3 Sc 0.500 0.500 0.000
4 Al 0.294 0.294 0.295
5 Al 0.706 0.706 0.705
6 C 0.355 0.355 0.642
7 C 0.645 0.645 0.358
8 O 0.232 0.232 0.114
9 O 0.768 0.768 0.886


Entry 5:
A relaxed LiSc2Al2C2O2 crystal, computed with GGA-PBE.

## Properties
The calculation puts the volume at 13.58 Å³ per atom. As for the crystal system: trigonal. The calculation puts the energy above the most stable polymorph in this dataset at 204 meV per atom. The energy of formation from the pure elements comes out at -1.37 eV per atom.

abc: 13.404 13.404 13.404
angles: 13.97 13.97 13.97
Fractional coordinates of all 9 atoms:
1 Li 0.000 0.000 0.000
2 Sc 0.203 0.203 0.203
3 Sc 0.743 0.743 0.743
4 Al 0.463 0.463 0.463
5 Al 0.941 0.941 0.941
6 C 0.109 0.109 0.109
7 C 0.292 0.292 0.292
8 O 0.508 0.508 0.508
9 O 0.893 0.893 0.893


Entry 6:
A relaxed LiSc2Al2C2O2 crystal, computed with GGA-PBE.

## Properties
The calculation puts the volume at 12.51 Å³ per atom. As for the crystal system: trigonal. The calculation puts the energy above the most stable polymorph in this dataset at 0 meV per atom. The energy of formation from the pure elements comes out at -1.57 eV per atom.

abc: 12.411 12.411 12.411
angles: 15.07 15.07 15.07
Fractional coordinates of all 9 atoms:
1 Li 0.000 0.000 0.000
2 Sc 0.400 0.400 0.400
3 Sc 0.871 0.871 0.871
4 Al 0.145 0.145 0.145
5 Al 0.597 0.597 0.597
6 C 0.244 0.244 0.244
7 C 0.498 0.498 0.498
8 O 0.094 0.094 0.094
9 O 0.703 0.703 0.703


Entry 7:
A relaxed MgAl2C2 crystal, computed with GGA-PBE.

## Properties
The calculation puts the volume at 11.60 Å³ per atom. As for the crystal system: trigonal. The energy of formation from the pure elements comes out at -0.06 eV per atom.

abc: 3.391 3.391 5.824
angles: 90.00 90.00 120.00
Fractional coordinates of all 5 atoms:
1 Mg 0.000 0.000 0.000
2 Al 0.333 0.667 0.650
3 Al 0.667 0.333 0.350
4 C 0.333 0.667 0.270
5 C 0.667 0.333 0.730


Entry 8:
A relaxed Mg6AlCO8 crystal, computed with GGA-PBE.

## Properties
The calculation puts the volume at 9.64 Å³ per atom. As for the crystal system: tetragonal. The calculation puts the energy above the most stable polymorph in this dataset at 76 meV per atom. The energy of formation from the pure elements comes out at -2.37 eV per atom.

abc: 4.106 4.106 9.152
angles: 90.00 90.00 90.00
Fractional coordinates of all 16 atoms:
1 Mg 0.000 0.000 0.000
2 Mg 0.000 0.500 0.257
3 Mg 0.000 0.500 0.743
4 Mg 0.500 0.000 0.257
5 Mg 0.500 0.000 0.743
6 Mg 0.500 0.500 0.000
7 Al 0.000 0.000 0.500
8 C 0.500 0.500 0.500
9 O 0.000 0.000 0.291
10 O 0.000 0.000 0.709
11 O 0.000 0.500 0.000
12 O 0.000 0.500 0.500
13 O 0.500 0.000 0.000
14 O 0.500 0.000 0.500
15 O 0.500 0.500 0.221
16 O 0.500 0.500 0.779


Entry 9:
A relaxed Mg6AlCO8 crystal, computed with GGA-PBE.

## Properties
The calculation puts the volume at 9.54 Å³ per atom. As for the crystal system: tetragonal. The calculation puts the energy above the most stable polymorph in this dataset at 0 meV per atom. The energy of formation from the pure elements comes out at -2.45 eV per atom.

abc: 4.157 4.157 8.839
angles: 90.00 90.00 90.00
Fractional coordinates of all 16 atoms:
1 Mg 0.000 0.000 0.000
2 Mg 0.000 0.000 0.500
3 Mg 0.000 0.500 0.242
4 Mg 0.000 0.500 0.758
5 Mg 0.500 0.000 0.242
6 Mg 0.500 0.000 0.758
7 Al 0.500 0.500 0.500
8 C 0.500 0.500 0.000
9 O 0.000 0.000 0.247
10 O 0.000 0.000 0.753
11 O 0.000 0.500 0.000
12 O 0.000 0.500 0.500
13 O 0.500 0.000 0.000
14 O 0.500 0.000 0.500
15 O 0.500 0.500 0.295
16 O 0.500 0.500 0.705


Entry 10:
A relaxed Al2Mo3C crystal, computed with GGA-PBE.

## Properties
The calculation puts the volume at 13.63 Å³ per atom. As for the crystal system: cubic. The energy of formation from the pure elements comes out at -0.17 eV per atom.

abc: 6.890 6.890 6.890
angles: 90.00 90.00 90.00
Fractional coordinates of all 24 atoms:
1 Al 0.067 0.067 0.067
2 Al 0.183 0.817 0.317
3 Al 0.317 0.183 0.817
4 Al 0.433 0.933 0.567
5 Al 0.567 0.433 0.933
6 Al 0.683 0.683 0.683
7 Al 0.817 0.317 0.183
8 Al 0.933 0.567 0.433
9 Mo 0.048 0.875 0.702
10 Mo 0.125 0.202 0.452
11 Mo 0.202 0.452 0.125
12 Mo 0.298 0.548 0.625
13 Mo 0.375 0.798 0.952
14 Mo 0.452 0.125 0.202
15 Mo 0.548 0.625 0.298
16 Mo 0.625 0.298 0.548
17 Mo 0.702 0.048 0.875
18 Mo 0.798 0.952 0.375
19 Mo 0.875 0.702 0.048
20 Mo 0.952 0.375 0.798
21 C 0.125 0.625 0.875
22 C 0.375 0.375 0.375
23 C 0.625 0.875 0.125
24 C 0.875 0.125 0.625


Entry 11:
A relaxed Sc2Al3Mo4C3 crystal, computed with GGA-PBE.

## Properties
The calculation puts the volume at 14.37 Å³ per atom. The energy of formation from the pure elements comes out at -0.41 eV per atom.

abc: 9.435 5.397 13.548
angles: 90.00 90.00 90.00
Fractional coordinates of all 48 atoms:
1 Al 0.500 0.190 0.250
2 Al 0.500 0.810 0.750
3 Al 0.000 0.310 0.750
4 Al 0.258 0.082 0.750
5 Al 0.242 0.418 0.250
6 Al 0.742 0.918 0.250
7 Al 0.758 0.418 0.250
8 Al 0.258 0.918 0.250
9 Al 0.758 0.582 0.750
10 Al 0.742 0.082 0.750
11 Al 0.000 0.690 0.250
12 Al 0.242 0.582 0.750
13 Sc 0.000 0.837 0.890
14 Sc 0.000 0.163 0.110
15 Sc 0.500 0.663 0.390
16 Sc 0.500 0.663 0.110
17 Sc 0.500 0.337 0.890
18 Sc 0.500 0.337 0.610
19 Sc 0.000 0.837 0.610
20 Sc 0.000 0.163 0.390
21 C 0.167 0.000 0.500
22 C 0.500 0.000 0.000
23 C 0.667 0.500 0.500
24 C 0.000 0.500 0.500
25 C 0.667 0.500 0.000
26 C 0.833 0.000 0.500
27 C 0.000 0.500 0.000
28 C 0.833 0.000 0.000
29 C 0.333 0.500 0.500
30 C 0.167 0.000 0.000
31 C 0.500 0.000 0.500
32 C 0.333 0.500 0.000
33 Mo 0.162 0.672 0.421
34 Mo 0.662 0.828 0.579
35 Mo 0.662 0.828 0.921
36 Mo 0.338 0.828 0.579
37 Mo 0.338 0.828 0.921
38 Mo 0.162 0.328 0.921
39 Mo 0.338 0.172 0.421
40 Mo 0.838 0.672 0.079
41 Mo 0.338 0.172 0.079
42 Mo 0.162 0.672 0.079
43 Mo 0.838 0.328 0.921
44 Mo 0.662 0.172 0.079
45 Mo 0.662 0.172 0.421
46 Mo 0.838 0.328 0.579
47 Mo 0.162 0.328 0.579
48 Mo 0.838 0.672 0.421


Entry 12:
A relaxed AlC6N9 crystal, computed with GGA-PBE.

## Properties
The calculation puts the volume at 16.99 Å³ per atom. As for the crystal system: orthorhombic. The energy of formation from the pure elements comes out at -0.01 eV per atom.

abc: 7.583 7.583 11.623
angles: 90.00 90.00 125.58
Fractional coordinates of all 32 atoms:
1 Al 0.222 0.778 0.750
2 Al 0.778 0.222 0.250
3 C 0.039 0.285 0.750
4 C 0.192 0.484 0.095
5 C 0.192 0.484 0.405
6 C 0.285 0.039 0.250
7 C 0.484 0.192 0.595
8 C 0.484 0.192 0.905
9 C 0.516 0.808 0.095
10 C 0.516 0.808 0.405
11 C 0.715 0.961 0.750
12 C 0.808 0.516 0.595
13 C 0.808 0.516 0.905
14 C 0.961 0.715 0.250
15 N 0.022 0.353 0.135
16 N 0.022 0.353 0.365
17 N 0.076 0.924 0.250
18 N 0.149 0.476 0.750
19 N 0.353 0.022 0.635
20 N 0.353 0.022 0.865
21 N 0.377 0.623 0.047
22 N 0.377 0.623 0.453
23 N 0.476 0.149 0.250
24 N 0.524 0.851 0.750
25 N 0.623 0.377 0.547
26 N 0.623 0.377 0.953
27 N 0.647 0.978 0.135
28 N 0.647 0.978 0.365
29 N 0.851 0.524 0.250
30 N 0.924 0.076 0.750
31 N 0.978 0.647 0.635
32 N 0.978 0.647 0.865


Entry 13:
A relaxed Al4CN3O crystal, computed with GGA-PBE.

## Properties
The maximum piezoelectric response comes out at 1.14 C/m². The calculation puts the volume at 13.60 Å³ per atom. As for the crystal system: orthorhombic. The energy of formation from the pure elements comes out at -0.70 eV per atom.

abc: 5.397 5.397 9.067
angles: 90.00 90.00 112.03
Fractional coordinates of all 18 atoms:
1 Al 0.049 0.951 0.500
2 Al 0.105 0.451 0.286
3 Al 0.403 0.597 0.584
4 Al 0.451 0.105 0.786
5 Al 0.549 0.895 0.286
6 Al 0.597 0.403 0.084
7 Al 0.895 0.549 0.786
8 Al 0.951 0.049 0.000
9 C 0.196 0.804 0.672
10 C 0.804 0.196 0.172
11 N 0.169 0.321 0.469
12 N 0.182 0.818 0.340
13 N 0.321 0.169 0.969
14 N 0.679 0.831 0.469
15 N 0.818 0.182 0.840
16 N 0.831 0.679 0.969
17 O 0.436 0.564 0.200
18 O 0.564 0.436 0.700


Entry 14:
A relaxed AlSiCN crystal, computed with GGA-PBE.

## Properties
The calculation puts the volume at 10.58 Å³ per atom. As for the crystal system: trigonal. The energy of formation from the pure elements comes out at -0.86 eV per atom.

abc: 3.110 3.110 5.056
angles: 90.00 90.00 120.00
Fractional coordinates of all 4 atoms:
1 Al 0.000 0.000 0.000
2 Si 0.333 0.667 0.490
3 C 0.000 0.000 0.601
4 N 0.333 0.667 0.130


Entry 15:
A relaxed Na2AlPCO7 crystal, computed with GGA-PBE.

## Properties
The calculation puts the volume at 12.26 Å³ per atom. As for the crystal system: monoclinic. The energy of formation from the pure elements comes out at -2.61 eV per atom.

abc: 5.172 6.404 8.887
angles: 90.00 91.78 90.00
Fractional coordinates of all 24 atoms:
1 Na 0.237 0.005 0.272
2 Na 0.237 0.495 0.272
3 Na 0.763 0.505 0.728
4 Na 0.763 0.995 0.728
5 Al 0.217 0.250 0.850
6 Al 0.783 0.750 0.150
7 P 0.279 0.750 0.930
8 P 0.721 0.250 0.070
9 C 0.272 0.250 0.583
10 C 0.728 0.750 0.417
11 O 0.045 0.250 0.646
12 O 0.121 0.750 0.077
13 O 0.215 0.554 0.836
14 O 0.215 0.946 0.836
15 O 0.308 0.250 0.445
16 O 0.425 0.250 0.025
17 O 0.462 0.250 0.688
18 O 0.538 0.750 0.312
19 O 0.575 0.750 0.975
20 O 0.692 0.750 0.555
21 O 0.785 0.054 0.164
22 O 0.785 0.446 0.164
23 O 0.879 0.250 0.923
24 O 0.955 0.750 0.354


Entry 16:
A relaxed Nb3Al2C crystal, computed with GGA-PBE.

## Properties
The calculation puts the volume at 15.10 Å³ per atom. As for the crystal system: cubic. The energy of formation from the pure elements comes out at -0.46 eV per atom.

abc: 7.130 7.130 7.130
angles: 90.00 90.00 90.00
Fractional coordinates of all 24 atoms:
1 Nb 0.045 0.125 0.795
2 Nb 0.125 0.795 0.045
3 Nb 0.205 0.545 0.375
4 Nb 0.295 0.455 0.875
5 Nb 0.375 0.205 0.545
6 Nb 0.455 0.875 0.295
7 Nb 0.545 0.375 0.205
8 Nb 0.625 0.705 0.955
9 Nb 0.705 0.955 0.625
10 Nb 0.795 0.045 0.125
11 Nb 0.875 0.295 0.455
12 Nb 0.955 0.625 0.705
13 Al 0.069 0.931 0.431
14 Al 0.181 0.181 0.181
15 Al 0.319 0.819 0.681
16 Al 0.431 0.069 0.931
17 Al 0.569 0.569 0.569
18 Al 0.681 0.319 0.819
19 Al 0.819 0.681 0.319
20 Al 0.931 0.431 0.069
21 C 0.125 0.375 0.625
22 C 0.375 0.625 0.125
23 C 0.625 0.125 0.375
24 C 0.875 0.875 0.875


Entry 17:
A relaxed TiNbAlC crystal, computed with GGA-PBE.

## Properties
The calculation puts the volume at 14.42 Å³ per atom. As for the crystal system: trigonal. The energy of formation from the pure elements comes out at -0.60 eV per atom.

abc: 3.103 3.103 13.833
angles: 90.00 90.00 120.00
Fractional coordinates of all 8 atoms:
1 Ti 0.333 0.667 0.082
2 Ti 0.667 0.333 0.918
3 Nb 0.333 0.667 0.410
4 Nb 0.667 0.333 0.590
5 Al 0.333 0.667 0.754
6 Al 0.667 0.333 0.246
7 C 0.000 0.000 0.000
8 C 0.000 0.000 0.500